Run 1
The following is a PBE calculation of a relaxed UOF4 crystal, from the Materials Project database. Values from VASP.

Properties
SG: I-42d
Volume, Å³/atom: 17.19
Magnetization, μB/f.u.: 0.000

Quantum ESPRESSO input file:
```
&SYSTEM
  ibrav = 0, nat = 24, ntyp = 3
/
ATOMIC_SPECIES
U 238.03 U.upf
O 16.00 O.upf
F 19.00 F.upf
ATOMIC_POSITIONS crystal
U 0.375 0.048 0.173
U 0.798 0.625 0.673
U 0.875 0.202 0.827
U 0.952 0.125 0.327
O 0.105 0.125 0.480
O 0.375 0.895 0.020
O 0.645 0.625 0.520
O 0.875 0.355 0.980
F 0.038 0.827 0.920
F 0.116 0.851 0.606
F 0.149 0.756 0.265
F 0.173 0.092 0.210
F 0.244 0.509 0.394
F 0.259 0.494 0.894
F 0.491 0.884 0.735
F 0.506 0.399 0.765
F 0.577 0.288 0.420
F 0.601 0.366 0.106
F 0.634 0.741 0.235
F 0.712 0.132 0.290
F 0.842 0.423 0.710
F 0.868 0.158 0.580
F 0.882 0.962 0.790
F 0.908 0.118 0.080
CELL_PARAMETERS angstrom
-5.929 5.929 2.934
5.929 -5.929 2.934
5.929 5.929 -2.934
```

Run 2
The following is a PBE calculation of a relaxed UOF4 crystal, from the Materials Project database. Values from VASP.

Properties
SG: R3m
Volume, Å³/atom: 16.90

Quantum ESPRESSO input file:
```
&SYSTEM
  ibrav = 0, nat = 18, ntyp = 3
/
ATOMIC_SPECIES
U 238.03 U.upf
O 16.00 O.upf
F 19.00 F.upf
ATOMIC_POSITIONS crystal
U 0.194 0.194 0.612
U 0.194 0.612 0.194
U 0.612 0.194 0.194
O 0.532 0.937 0.937
O 0.937 0.532 0.937
O 0.937 0.937 0.532
F 0.229 0.985 0.985
F 0.293 0.491 0.962
F 0.293 0.962 0.491
F 0.479 0.479 0.704
F 0.479 0.704 0.479
F 0.491 0.293 0.962
F 0.491 0.962 0.293
F 0.704 0.479 0.479
F 0.962 0.293 0.491
F 0.962 0.491 0.293
F 0.985 0.229 0.985
F 0.985 0.985 0.229
CELL_PARAMETERS angstrom
6.752 3.898 1.926
-6.752 3.898 1.926
0.000 -7.797 1.926
```

Ranked by calculated energy, most stable first: run 2, run 1.

Run 1
The following is a PBE calculation of a relaxed Y7O6F9 crystal, from the Materials Project database. Values from VASP.

Properties
SG: C2
Volume, Å³/atom: 13.70
Magnetization, μB/f.u.: 0.000

Quantum ESPRESSO input file:
```
&SYSTEM
  ibrav = 0, nat = 44, ntyp = 3
/
ATOMIC_SPECIES
Y 88.91 Y.upf
O 16.00 O.upf
F 19.00 F.upf
ATOMIC_POSITIONS crystal
Y 0.035 0.035 0.207
Y 0.067 0.145 0.799
Y 0.196 0.303 0.777
Y 0.198 0.155 0.208
Y 0.320 0.328 0.211
Y 0.360 0.428 0.798
Y 0.464 0.466 0.208
Y 0.534 0.536 0.792
Y 0.572 0.640 0.202
Y 0.672 0.680 0.789
Y 0.697 0.804 0.223
Y 0.845 0.802 0.792
Y 0.855 0.933 0.201
Y 0.965 0.965 0.793
O 0.010 0.558 0.036
O 0.099 0.615 0.030
O 0.149 0.708 0.021
O 0.262 0.738 0.000
O 0.292 0.851 0.979
O 0.385 0.901 0.970
O 0.442 0.990 0.964
O 0.597 0.112 0.971
O 0.649 0.207 0.979
O 0.762 0.238 0.000
O 0.793 0.351 0.021
O 0.888 0.403 0.029
F 0.059 0.330 0.590
F 0.159 0.841 0.500
F 0.181 0.432 0.590
F 0.255 0.007 0.446
F 0.263 0.608 0.536
F 0.329 0.174 0.393
F 0.392 0.737 0.464
F 0.489 0.251 0.443
F 0.511 0.060 0.952
F 0.568 0.819 0.410
F 0.658 0.342 0.500
F 0.670 0.941 0.410
F 0.749 0.511 0.557
F 0.762 0.109 0.465
F 0.826 0.671 0.607
F 0.891 0.238 0.535
F 0.940 0.489 0.048
F 0.993 0.745 0.554
CELL_PARAMETERS angstrom
19.521 -2.806 0.000
19.521 2.806 0.000
-0.007 0.000 5.502
```

Run 2
The following is a PBE calculation of a relaxed Y7O6F9 crystal, from the Materials Project database. Values from VASP.

Properties
SG: Aem2
Volume, Å³/atom: 13.81
Magnetization, μB/f.u.: 0.000

Quantum ESPRESSO input file:
```
&SYSTEM
  ibrav = 0, nat = 44, ntyp = 3
/
ATOMIC_SPECIES
Y 88.91 Y.upf
O 16.00 O.upf
F 19.00 F.upf
ATOMIC_POSITIONS crystal
Y 0.200 0.100 0.900
Y 0.200 0.400 0.600
Y 0.234 0.679 0.341
Y 0.234 0.841 0.179
Y 0.238 0.546 0.489
Y 0.238 0.989 0.046
Y 0.242 0.325 0.825
Y 0.758 0.825 0.325
Y 0.762 0.046 0.989
Y 0.762 0.489 0.546
Y 0.766 0.179 0.841
Y 0.766 0.341 0.679
Y 0.800 0.600 0.400
Y 0.800 0.900 0.100
O 0.000 0.263 0.263
O 0.000 0.763 0.763
O 0.021 0.384 0.099
O 0.021 0.599 0.884
O 0.039 0.354 0.214
O 0.039 0.714 0.854
O 0.500 0.278 0.278
O 0.500 0.778 0.778
O 0.961 0.214 0.354
O 0.961 0.854 0.714
O 0.979 0.099 0.384
O 0.979 0.884 0.599
F 0.050 0.002 0.571
F 0.050 0.071 0.502
F 0.371 0.702 0.202
F 0.401 0.344 0.946
F 0.401 0.446 0.844
F 0.455 0.100 0.254
F 0.455 0.754 0.600
F 0.466 0.178 0.461
F 0.466 0.961 0.678
F 0.534 0.461 0.178
F 0.534 0.678 0.961
F 0.545 0.254 0.100
F 0.545 0.600 0.754
F 0.599 0.844 0.446
F 0.599 0.946 0.344
F 0.629 0.202 0.702
F 0.950 0.502 0.071
F 0.950 0.571 0.002
CELL_PARAMETERS angstrom
5.523 0.000 0.000
0.000 19.721 2.789
0.000 -19.721 2.789
```

Run 3
The following is a PBE calculation of a relaxed Y7O6F9 crystal, from the Materials Project database. Values from VASP.

Properties
SG: Pc
Volume, Å³/atom: 14.91
Magnetization, μB/f.u.: 0.000

Quantum ESPRESSO input file:
```
&SYSTEM
  ibrav = 0, nat = 44, ntyp = 3
/
ATOMIC_SPECIES
Y 88.91 Y.upf
O 16.00 O.upf
F 19.00 F.upf
ATOMIC_POSITIONS crystal
Y 0.000 0.118 0.000
Y 0.000 0.882 0.500
Y 0.165 0.304 0.406
Y 0.165 0.696 0.906
Y 0.290 0.191 0.105
Y 0.290 0.809 0.605
Y 0.472 0.157 0.531
Y 0.472 0.843 0.031
Y 0.579 0.332 0.170
Y 0.579 0.668 0.670
Y 0.739 0.119 0.642
Y 0.739 0.881 0.142
Y 0.867 0.338 0.298
Y 0.867 0.662 0.798
O 0.146 0.078 0.184
O 0.146 0.922 0.684
O 0.301 0.099 0.462
O 0.301 0.901 0.962
O 0.451 0.112 0.226
O 0.451 0.888 0.726
O 0.602 0.057 0.033
O 0.602 0.943 0.533
O 0.739 0.166 0.349
O 0.739 0.834 0.849
O 0.904 0.029 0.193
O 0.904 0.971 0.693
F 0.011 0.397 0.186
F 0.011 0.603 0.686
F 0.014 0.238 0.496
F 0.014 0.762 0.996
F 0.127 0.353 0.931
F 0.127 0.647 0.431
F 0.246 0.485 0.239
F 0.246 0.515 0.739
F 0.407 0.493 0.078
F 0.407 0.507 0.578
F 0.556 0.430 0.432
F 0.556 0.570 0.932
F 0.612 0.300 0.734
F 0.612 0.700 0.234
F 0.756 0.490 0.602
F 0.756 0.510 0.102
F 0.864 0.325 0.886
F 0.864 0.675 0.386
CELL_PARAMETERS angstrom
13.228 0.000 0.000
0.000 6.427 0.000
-1.820 0.000 7.718
```

Ranked by calculated energy, most stable first: run 1, run 2, run 3.

Run 1
The following is a PBE calculation of a relaxed Y5O4F7 crystal, from the Materials Project database. Values from VASP.

Properties
SG: C2
Volume, Å³/atom: 13.48

Quantum ESPRESSO input file:
```
&SYSTEM
  ibrav = 0, nat = 32, ntyp = 3
/
ATOMIC_SPECIES
Y 88.91 Y.upf
O 16.00 O.upf
F 19.00 F.upf
ATOMIC_POSITIONS crystal
Y 0.049 0.049 0.207
Y 0.116 0.178 0.788
Y 0.268 0.233 0.223
Y 0.295 0.410 0.792
Y 0.454 0.447 0.205
Y 0.553 0.546 0.795
Y 0.590 0.705 0.208
Y 0.767 0.732 0.777
Y 0.822 0.884 0.212
Y 0.951 0.951 0.793
O 0.036 0.559 0.037
O 0.119 0.681 0.027
O 0.265 0.735 0.000
O 0.319 0.881 0.973
O 0.441 0.964 0.963
O 0.617 0.178 0.974
O 0.763 0.237 0.000
O 0.822 0.383 0.026
F 0.136 0.361 0.609
F 0.148 0.852 0.500
F 0.246 0.580 0.544
F 0.259 0.085 0.407
F 0.420 0.754 0.456
F 0.425 0.229 0.409
F 0.538 0.062 0.952
F 0.639 0.864 0.391
F 0.649 0.351 0.500
F 0.754 0.074 0.452
F 0.771 0.575 0.591
F 0.915 0.741 0.593
F 0.926 0.246 0.548
F 0.938 0.462 0.048
CELL_PARAMETERS angstrom
14.010 -2.809 0.000
14.010 2.809 0.000
-0.014 0.000 5.482
```

Run 2
The following is a PBE calculation of a relaxed Y5O4F7 crystal, from the Materials Project database. Values from VASP.

Properties
SG: Pc
Volume, Å³/atom: 15.97
Magnetization, μB/f.u.: 0.000

Quantum ESPRESSO input file:
```
&SYSTEM
  ibrav = 0, nat = 32, ntyp = 3
/
ATOMIC_SPECIES
Y 88.91 Y.upf
O 16.00 O.upf
F 19.00 F.upf
ATOMIC_POSITIONS crystal
Y 0.000 0.022 0.000
Y 0.000 0.978 0.500
Y 0.052 0.296 0.730
Y 0.052 0.704 0.230
Y 0.134 0.340 0.279
Y 0.134 0.660 0.779
Y 0.509 0.225 0.083
Y 0.509 0.775 0.583
Y 0.558 0.153 0.654
Y 0.558 0.847 0.154
O 0.145 0.188 0.496
O 0.145 0.812 0.996
O 0.149 0.233 0.029
O 0.149 0.767 0.529
O 0.667 0.093 0.950
O 0.667 0.907 0.450
O 0.903 0.087 0.711
O 0.903 0.913 0.211
F 0.270 0.482 0.925
F 0.270 0.518 0.425
F 0.378 0.032 0.150
F 0.378 0.968 0.650
F 0.402 0.286 0.801
F 0.402 0.714 0.301
F 0.474 0.255 0.364
F 0.474 0.745 0.864
F 0.731 0.339 0.702
F 0.731 0.661 0.202
F 0.804 0.308 0.233
F 0.804 0.692 0.733
F 0.996 0.488 0.591
F 0.996 0.512 0.091
CELL_PARAMETERS angstrom
6.861 0.000 0.000
0.000 10.024 0.000
-2.468 0.000 7.428
```

Run 3
The following is a PBE calculation of a relaxed Y5O4F7 crystal, from the Materials Project database. Values from VASP.

Properties
SG: Pc
Maximum piezoelectric response, C/m2: 1.6
Volume, Å³/atom: 14.63
Magnetization, μB/f.u.: 0.001

Quantum ESPRESSO input file:
```
&SYSTEM
  ibrav = 0, nat = 32, ntyp = 3
/
ATOMIC_SPECIES
Y 88.91 Y.upf
O 16.00 O.upf
F 19.00 F.upf
ATOMIC_POSITIONS crystal
Y 0.000 0.016 0.000
Y 0.000 0.984 0.500
Y 0.244 0.283 0.313
Y 0.244 0.717 0.813
Y 0.517 0.077 0.680
Y 0.517 0.923 0.180
Y 0.626 0.282 0.107
Y 0.626 0.718 0.607
Y 0.927 0.350 0.567
Y 0.927 0.650 0.067
O 0.212 0.205 0.583
O 0.212 0.795 0.083
O 0.360 0.140 0.130
O 0.360 0.860 0.630
O 0.648 0.071 0.965
O 0.648 0.929 0.465
O 0.832 0.197 0.349
O 0.832 0.803 0.849
F 0.033 0.485 0.318
F 0.033 0.515 0.818
F 0.158 0.028 0.304
F 0.158 0.972 0.804
F 0.382 0.440 0.165
F 0.382 0.560 0.665
F 0.561 0.278 0.516
F 0.561 0.722 0.016
F 0.698 0.468 0.952
F 0.698 0.532 0.452
F 0.871 0.156 0.733
F 0.871 0.844 0.233
F 0.972 0.264 0.074
F 0.972 0.736 0.574
CELL_PARAMETERS angstrom
6.788 0.000 0.000
0.000 8.856 0.000
-2.634 0.000 7.789
```

Ranked by calculated energy, most stable first: run 1, run 2, run 3.